The following is a DFT calculation (r2SCAN) of a relaxed HoSI crystal.

Computed properties:
Space group: Pmmn (59)
DFT total energy (eV per formula unit): -71.70

abc: 4.159 5.314 9.894
angles: 90.00 90.00 90.00
Positions (direct):
Ho 0.250 0.250 0.113
Ho 0.750 0.750 0.887
S 0.250 0.750 0.065
S 0.750 0.250 0.935
I 0.250 0.750 0.665
I 0.750 0.250 0.335